Record 1
VASP calculation (GGA+U) on a geometry-optimized MgFe12O12F12 structure.

Cell: 9.8654 3.1180 14.4623 Å, 90.00 90.66 90.00°
Sites, in units of the cell vectors:
Mg: 0.0000 0.0000 0.0000
Fe: 0.0347 0.5000 0.6056
Fe: 0.0641 0.5000 0.3226
Fe: 0.0771 0.5000 0.8085
Fe: 0.3194 0.0000 0.4572
Fe: 0.3336 0.0000 0.1260
Fe: 0.3719 0.0000 0.8005
Fe: 0.5238 0.5000 0.2984
Fe: 0.5543 0.5000 0.9697
Fe: 0.5656 0.5000 0.5931
Fe: 0.7998 0.0000 0.1553
Fe: 0.8121 0.0000 0.4539
Fe: 0.8194 0.0000 0.7773
O: 0.1572 0.0000 0.3679
O: 0.2707 0.5000 0.8378
O: 0.4009 0.5000 0.3996
O: 0.4252 0.5000 0.0646
O: 0.4568 0.0000 0.2312
O: 0.4597 0.0000 0.5594
O: 0.5066 0.0000 0.8976
O: 0.7175 0.5000 0.5148
O: 0.8945 0.5000 0.3817
O: 0.9103 0.5000 0.7168
O: 0.9670 0.0000 0.5465
O: 0.9717 0.0000 0.8700
F: 0.1437 0.0000 0.6904
F: 0.1817 0.0000 0.0332
F: 0.2146 0.5000 0.5337
F: 0.2232 0.5000 0.1875
F: 0.4543 0.5000 0.7223
F: 0.6433 0.0000 0.3555
F: 0.6670 0.0000 0.6842
F: 0.6843 0.0000 0.0329
F: 0.6964 0.5000 0.2053
F: 0.7303 0.5000 0.8504
F: 0.9177 0.5000 0.0604
F: 0.9769 0.0000 0.2225

Space group: No. 6

Record 2
VASP calculation (GGA+U) on a geometry-optimized MgFe6O11F structure.

Cell: 2.9196 7.4281 10.7246 Å, 108.61 90.00 90.02°
Sites, in units of the cell vectors:
Mg: 0.0000 0.0000 0.0000
Fe: 0.0031 0.1803 0.8154
Fe: 0.0030 0.8190 0.1846
Fe: 0.0074 0.4782 0.4999
Fe: 0.5032 0.3848 0.1829
Fe: 0.5034 0.6141 0.8175
Fe: 0.5066 0.0397 0.4993
O: 0.0024 0.7105 0.9398
O: 0.0026 0.2899 0.0605
O: 0.0042 0.3995 0.3026
O: 0.0047 0.5913 0.6971
O: 0.0063 0.0600 0.6218
O: 0.0061 0.9487 0.3766
O: 0.5014 0.0253 0.8643
O: 0.5009 0.9731 0.1346
O: 0.5036 0.3541 0.8213
O: 0.5037 0.6461 0.1820
O: 0.5072 0.3064 0.5002
F: 0.5074 0.6668 0.4988

Space group: No. 1

Record 3
VASP calculation (GGA+U) on a geometry-optimized MgFe6O8F4 structure.

Cell: 4.8351 4.8593 8.8916 Å, 90.11 90.13 92.01°
Sites, in units of the cell vectors:
Mg: 0.0000 0.0000 0.0000
Fe: 0.0121 0.4578 0.2055
Fe: 0.4606 0.9815 0.6921
Fe: 0.4741 0.0163 0.3555
Fe: 0.5096 0.0662 0.0051
Fe: 0.9399 0.5735 0.5111
Fe: 0.9927 0.5069 0.8412
O: 0.1712 0.6887 0.6854
O: 0.1828 0.7043 0.3456
O: 0.2663 0.1801 0.8515
O: 0.2762 0.1641 0.1670
O: 0.6554 0.8361 0.5257
O: 0.6994 0.8527 0.8570
O: 0.7649 0.3212 0.3529
O: 0.8037 0.3497 0.0125
F: 0.2215 0.6821 0.0101
F: 0.2657 0.1843 0.5255
F: 0.7251 0.8621 0.1626
F: 0.7612 0.3282 0.6840

Space group: No. 1

Record 4
VASP calculation (GGA+U) on a geometry-optimized MgFe6O7F5 structure.

Cell: 5.7824 5.9695 7.6989 Å, 108.00 97.68 111.77°
Sites, in units of the cell vectors:
Mg: 0.0000 0.0000 0.0000
Fe: 0.0086 0.5117 0.0272
Fe: 0.0305 0.9320 0.4881
Fe: 0.3829 0.5618 0.3490
Fe: 0.3855 0.9598 0.8144
Fe: 0.6156 0.0721 0.2212
Fe: 0.6860 0.4621 0.6588
O: 0.1200 0.6816 0.3232
O: 0.2793 0.8671 0.0301
O: 0.3892 0.1635 0.6605
O: 0.5953 0.3710 0.3893
O: 0.6749 0.8640 0.3583
O: 0.7335 0.1460 0.0037
O: 0.9879 0.8243 0.7086
F: 0.0655 0.1749 0.3029
F: 0.2834 0.3535 0.0612
F: 0.4398 0.6665 0.6405
F: 0.7349 0.6471 0.9478
F: 0.9361 0.3354 0.7215

Space group: No. 1

Number 1: polymorph energy (0 for the lowest one) 0.0327 eV per atom, formation enthalpy at 0 K -2.06 eV/atom. Number 2: polymorph energy (0 for the lowest one) 0.0242 eV per atom, formation enthalpy at 0 K -1.62 eV/atom. Number 3: polymorph energy (0 for the lowest one) 0.1317 eV per atom, formation enthalpy at 0 K -1.81 eV/atom. Number 4: polymorph energy (0 for the lowest one) 0.0000 eV per atom, formation enthalpy at 0 K -2.07 eV/atom.